[1]
NaNi2H3S2O10 | PBE with a Hubbard U | optimized geometry

Cell lengths 11.5154, 6.0953, 7.0574 Å; angles 90.00, 106.52, 90.00 degrees
Closest atoms and distances in Å follow each position.
Space group Cm (No. 8)
Asymmetric unit:
Na: 0.0000 0.0000 0.0000 [2 per cell]  4 O 2.37-2.38
Ni: 0.2411 0.2427 0.4947 [4 per cell]  6 O 2.01-2.19
H: 0.0794 0.5000 0.4815 [2 per cell]  1 O 0.98
H: 0.4135 0.0000 0.5181 [2 per cell]  1 O 0.98
H: 0.4572 0.5000 0.4839 [2 per cell]  1 O 1.02
S: 0.0988 0.5000 0.8388 [2 per cell]  2 O 1.47
S: 0.3924 0.0000 0.1567 [2 per cell]  2 O 1.47
O: 0.0229 0.3012 0.8008 [4 per cell]  1 S 1.47
O: 0.1158 0.0000 0.4774 [2 per cell]  1 O 1.52
O: 0.1532 0.5000 0.5927 [2 per cell]  1 H 0.98
O: 0.2156 0.0000 0.6710 [2 per cell]  1 O 1.52
O: 0.2754 0.5000 0.3280 [2 per cell]  1 O 1.52
O: 0.3403 0.0000 0.4048 [2 per cell]  1 H 0.98
O: 0.3775 0.5000 0.5188 [2 per cell]  1 H 1.02
O: 0.4681 0.1989 0.1930 [4 per cell]  1 S 1.47

Properties
E above lowest polymorph   9.524 eV/f.u.
DFT formation energy   -1175 meV per atom
Total energy   -5.001 eV per atom

***

[2]
LiFeF4 | PBE with a Hubbard U | optimized geometry

Cell lengths 5.8209, 8.6539, 6.4314 Å; angles 90.00, 90.00, 90.00 degrees
Closest atoms and distances in Å follow each position.
Space group Cmcm (No. 63)
Asymmetric unit:
Li: 0.0000 0.0000 0.0000 [4 per cell]  6 F 1.99-2.15
Fe: 0.0000 0.3529 0.2500 [4 per cell]  4 F 1.83-1.87
F: 0.0000 0.2290 0.0196 [8 per cell]  1 Fe 1.83, 1 Li 1.99
F: 0.2438 0.0175 0.7500 [8 per cell]  1 Fe 1.87

Properties
E above lowest polymorph   0.608 eV/f.u.
DFT formation energy   -2723 meV per atom
Total energy   -5.045 eV per atom

***

Please write out number 1 again, unchanged.
NaNi2H3S2O10 | PBE with a Hubbard U | optimized geometry

Cell lengths 11.5154, 6.0953, 7.0574 Å; angles 90.00, 106.52, 90.00 degrees
Closest atoms and distances in Å follow each position.
Space group Cm (No. 8)
Asymmetric unit:
Na: 0.0000 0.0000 0.0000 [2 per cell]  4 O 2.37-2.38
Ni: 0.2411 0.2427 0.4947 [4 per cell]  6 O 2.01-2.19
H: 0.0794 0.5000 0.4815 [2 per cell]  1 O 0.98
H: 0.4135 0.0000 0.5181 [2 per cell]  1 O 0.98
H: 0.4572 0.5000 0.4839 [2 per cell]  1 O 1.02
S: 0.0988 0.5000 0.8388 [2 per cell]  2 O 1.47
S: 0.3924 0.0000 0.1567 [2 per cell]  2 O 1.47
O: 0.0229 0.3012 0.8008 [4 per cell]  1 S 1.47
O: 0.1158 0.0000 0.4774 [2 per cell]  1 O 1.52
O: 0.1532 0.5000 0.5927 [2 per cell]  1 H 0.98
O: 0.2156 0.0000 0.6710 [2 per cell]  1 O 1.52
O: 0.2754 0.5000 0.3280 [2 per cell]  1 O 1.52
O: 0.3403 0.0000 0.4048 [2 per cell]  1 H 0.98
O: 0.3775 0.5000 0.5188 [2 per cell]  1 H 1.02
O: 0.4681 0.1989 0.1930 [4 per cell]  1 S 1.47

Properties
E above lowest polymorph   9.524 eV/f.u.
DFT formation energy   -1175 meV per atom
Total energy   -5.001 eV per atom

***

Copy entry 1 word for word.
NaNi2H3S2O10 | PBE with a Hubbard U | optimized geometry

Cell lengths 11.5154, 6.0953, 7.0574 Å; angles 90.00, 106.52, 90.00 degrees
Closest atoms and distances in Å follow each position.
Space group Cm (No. 8)
Asymmetric unit:
Na: 0.0000 0.0000 0.0000 [2 per cell]  4 O 2.37-2.38
Ni: 0.2411 0.2427 0.4947 [4 per cell]  6 O 2.01-2.19
H: 0.0794 0.5000 0.4815 [2 per cell]  1 O 0.98
H: 0.4135 0.0000 0.5181 [2 per cell]  1 O 0.98
H: 0.4572 0.5000 0.4839 [2 per cell]  1 O 1.02
S: 0.0988 0.5000 0.8388 [2 per cell]  2 O 1.47
S: 0.3924 0.0000 0.1567 [2 per cell]  2 O 1.47
O: 0.0229 0.3012 0.8008 [4 per cell]  1 S 1.47
O: 0.1158 0.0000 0.4774 [2 per cell]  1 O 1.52
O: 0.1532 0.5000 0.5927 [2 per cell]  1 H 0.98
O: 0.2156 0.0000 0.6710 [2 per cell]  1 O 1.52
O: 0.2754 0.5000 0.3280 [2 per cell]  1 O 1.52
O: 0.3403 0.0000 0.4048 [2 per cell]  1 H 0.98
O: 0.3775 0.5000 0.5188 [2 per cell]  1 H 1.02
O: 0.4681 0.1989 0.1930 [4 per cell]  1 S 1.47

Properties
E above lowest polymorph   9.524 eV/f.u.
DFT formation energy   -1175 meV per atom
Total energy   -5.001 eV per atom

***

Look up the DFT formation energy of the first one.
-1175 meV per atom